Cd2AgPt: relaxed, PBE.

abc: 4.719 4.719 4.719
angles: 60.00 60.00 60.00
Sites, in units of the cell vectors:
Cd: 0.750 0.750 0.750
Cd: 0.250 0.250 0.250
Pt: 0.000 0.000 0.000
Ag: 0.500 0.500 0.500

Values from the calculation:
* E_tot: -2.88 eV per atom
* symmetry: Fm-3m (225)
* V: 74.30 Å³ per cell